DFT (PBE-GGA) results for a geometry-optimized Y5SbPd2 structure.

```
data_Y5SbPd2
_chemical_formula_sum 'Y10 Sb2 Pd4'
_space_group_name_H-M_alt 'P 1'
_space_group_IT_number 1
_cell_length_a 8.817
_cell_length_b 8.817
_cell_length_c 8.817
_cell_angle_alpha 127.67
_cell_angle_beta 127.67
_cell_angle_gamma 77.16
loop_
_space_group_symop_operation_xyz
'x,y,z'
loop_
_atom_site_label
_atom_site_fract_x
_atom_site_fract_y
_atom_site_fract_z
Y1 0.000 0.000 0.000
Y2 0.013 0.513 0.812
Y3 0.201 0.013 0.500
Y4 0.299 0.799 0.812
Y5 0.487 0.299 0.500
Y6 0.500 0.500 0.000
Y7 0.513 0.701 0.500
Y8 0.701 0.201 0.188
Y9 0.799 0.987 0.500
Y10 0.987 0.487 0.188
Sb1 0.250 0.250 0.000
Sb2 0.750 0.750 0.000
Pd1 0.136 0.364 0.500
Pd2 0.364 0.864 0.228
Pd3 0.636 0.136 0.772
Pd4 0.864 0.636 0.500
```

Calculated values
The calculation puts the formation energy at -0.7799 eV/atom. The space group is I4/mcm, No. 140.